A relaxed structure of Ca2FeP2H8O12, computed with PBE with a Hubbard U.

raw total energy: -6.14 eV/atom
total energy after the MP2020 corrections: -6.560 eV/atom
energy of formation from the pure elements: -2.17 eV per atom
spin magnetization: 0.0 μB per formula unit

Cell lengths 8.1665, 10.0273, 12.4994 Å; angles 86.89, 106.56, 98.33 degrees
Atoms (fractional coordinates):
Ca 0.5437 0.1636 0.1699
Ca 0.0436 0.6636 0.1699
Ca 0.7936 0.9136 0.6699
Ca 0.2937 0.4135 0.6698
Ca 0.7063 0.5864 0.3301
Ca 0.2063 0.0864 0.3301
Ca 0.9564 0.3364 0.8301
Ca 0.4564 0.8365 0.8302
Fe 0.4999 0.5001 0.9997
Fe 0.2501 0.7499 0.5002
Fe 0.0000 0.9999 0.9998
Fe 0.7501 0.2500 0.5002
P 0.8530 0.9195 0.2163
P 0.3530 0.4196 0.2162
P 0.1030 0.6695 0.7163
P 0.6030 0.1695 0.7163
P 0.3969 0.8305 0.2838
P 0.8970 0.3305 0.2837
P 0.6471 0.5805 0.7837
P 0.1470 0.0805 0.7837
H 0.6915 0.9871 0.0267
H 0.1915 0.4870 0.0267
H 0.9415 0.7370 0.5267
H 0.4415 0.2371 0.5267
H 0.5585 0.7630 0.4733
H 0.0585 0.2629 0.4733
H 0.8085 0.5130 0.9733
H 0.3086 0.0129 0.9733
H 0.3066 0.9285 0.0892
H 0.8065 0.4285 0.0892
H 0.5566 0.6785 0.5892
H 0.0565 0.1785 0.5892
H 0.9436 0.8214 0.4108
H 0.4434 0.3215 0.4108
H 0.1934 0.5715 0.9108
H 0.6935 0.0715 0.9108
H 0.4376 0.7428 0.0722
H 0.9377 0.2427 0.0722
H 0.6877 0.4928 0.5722
H 0.1876 0.9927 0.5722
H 0.8123 0.0072 0.4278
H 0.3123 0.5072 0.4278
H 0.0623 0.7572 0.9278
H 0.5623 0.2573 0.9278
H 0.6313 0.7424 0.0825
H 0.1314 0.2424 0.0825
H 0.8814 0.4925 0.5825
H 0.3813 0.9924 0.5825
H 0.6186 0.0076 0.4175
H 0.1187 0.5076 0.4176
H 0.8686 0.7575 0.9175
H 0.3687 0.2576 0.9175
O 0.2904 0.0195 0.0499
O 0.7903 0.5195 0.0498
O 0.5404 0.7695 0.5499
O 0.0403 0.2695 0.5499
O 0.9597 0.7305 0.4501
O 0.4597 0.2305 0.4501
O 0.2096 0.4805 0.9501
O 0.7097 0.9805 0.9501
O 0.5151 0.7230 0.0269
O 0.0151 0.2229 0.0268
O 0.7651 0.4729 0.5269
O 0.2651 0.9729 0.5269
O 0.7349 0.0271 0.4731
O 0.2350 0.5270 0.4732
O 0.9849 0.7770 0.9731
O 0.4849 0.2771 0.9731
O 0.6943 0.9879 0.1550
O 0.1942 0.4879 0.1550
O 0.9443 0.7379 0.6550
O 0.4443 0.2379 0.6551
O 0.5557 0.7621 0.3450
O 0.0557 0.2621 0.3450
O 0.8058 0.5121 0.8450
O 0.3057 0.0121 0.8449
O 0.0079 0.9697 0.1659
O 0.5079 0.4699 0.1658
O 0.2581 0.7198 0.6661
O 0.7580 0.2197 0.6659
O 0.2420 0.7802 0.3342
O 0.7420 0.2803 0.3341
O 0.4920 0.5301 0.8339
O 0.9921 0.0303 0.8341
O 0.3268 0.7930 0.1581
O 0.8268 0.2930 0.1580
O 0.5769 0.5430 0.6580
O 0.0768 0.0430 0.6580
O 0.9232 0.9570 0.3420
O 0.4231 0.4570 0.3420
O 0.1732 0.7070 0.8420
O 0.6732 0.2070 0.8420
O 0.4392 0.9868 0.2992
O 0.9393 0.4869 0.2992
O 0.6892 0.7368 0.7991
O 0.1892 0.2368 0.7992
O 0.8107 0.7631 0.2008
O 0.3108 0.2632 0.2008
O 0.0608 0.5132 0.7008
O 0.5608 0.0132 0.7008